(1)
DFT (r²SCAN) results for crystalline Ge3F8 at its relaxed geometry.

Cell: 4.959 5.080 11.676 Å, 90.00 90.85 90.00°
Fractional coordinates of all 22 atoms:
Ge 0.453 0.594 0.831
Ge 0.953 0.906 0.331
Ge 0.547 0.406 0.169
Ge 0.047 0.094 0.669
Ge 0.000 0.000 0.000
Ge 0.500 0.500 0.500
F 0.163 0.698 0.943
F 0.663 0.802 0.443
F 0.837 0.302 0.057
F 0.337 0.198 0.557
F 0.710 0.812 0.036
F 0.210 0.688 0.536
F 0.290 0.188 0.964
F 0.790 0.312 0.464
F 0.146 0.942 0.140
F 0.646 0.558 0.640
F 0.854 0.058 0.860
F 0.354 0.442 0.360
F 0.339 0.921 0.752
F 0.839 0.579 0.252
F 0.661 0.079 0.248
F 0.161 0.421 0.748

Calculated values
ΔH_f (0 K)   -2357 meV per atom
Symmetry   P2_1/c
M_tot   0.00 μB/cell

(2)
DFT (r²SCAN) results for crystalline GeF2 at its relaxed geometry.

Cell: 4.344 5.257 8.298 Å, 90.00 90.00 90.00°
Fractional coordinates of all 12 atoms:
Ge 0.743 0.750 0.113
Ge 0.757 0.750 0.613
Ge 0.257 0.250 0.887
Ge 0.243 0.250 0.387
F 0.020 0.750 0.279
F 0.480 0.750 0.779
F 0.980 0.250 0.721
F 0.520 0.250 0.221
F 0.000 0.500 0.000
F 0.500 0.000 0.500
F 0.000 0.000 0.000
F 0.500 0.500 0.500

Calculated values
ΔH_f (0 K)   -2146 meV per atom
Symmetry   Pnma
M_tot   0.00 μB/cell

(3)
DFT (r²SCAN) results for crystalline GeF2 at its relaxed geometry.

Cell: 4.692 5.002 8.070 Å, 90.00 90.00 90.00°
Fractional coordinates of all 12 atoms:
Ge 0.258 0.988 0.624
Ge 0.758 0.512 0.376
Ge 0.742 0.488 0.876
Ge 0.242 0.012 0.124
F 0.400 0.747 0.782
F 0.900 0.753 0.218
F 0.600 0.247 0.718
F 0.100 0.253 0.282
F 0.965 0.117 0.972
F 0.465 0.383 0.028
F 0.035 0.617 0.528
F 0.535 0.883 0.472

Calculated values
ΔH_f (0 K)   -2154 meV per atom
Symmetry   P2_12_12_1
M_tot   0.00 μB/cell

(4)
DFT (r²SCAN) results for crystalline Na2GeF6 at its relaxed geometry.

Cell: 8.989 8.989 5.049 Å, 90.00 90.00 120.00°
Fractional coordinates of all 27 atoms:
Na 0.626 0.626 0.000
Na 0.000 0.374 0.000
Na 0.374 0.000 0.000
Na 0.291 0.291 0.500
Na 0.000 0.709 0.500
Na 0.709 0.000 0.500
Ge 0.667 0.333 0.504
Ge 0.333 0.667 0.496
Ge 0.000 0.000 0.000
F 0.086 0.191 0.203
F 0.809 0.896 0.203
F 0.104 0.914 0.203
F 0.895 0.809 0.797
F 0.914 0.104 0.797
F 0.191 0.086 0.797
F 0.552 0.408 0.710
F 0.592 0.144 0.710
F 0.856 0.448 0.710
F 0.477 0.223 0.299
F 0.777 0.253 0.299
F 0.747 0.523 0.299
F 0.253 0.777 0.701
F 0.524 0.747 0.701
F 0.223 0.476 0.701
F 0.407 0.552 0.290
F 0.448 0.856 0.290
F 0.144 0.593 0.290

Calculated values
ΔH_f (0 K)   -2910 meV per atom
Symmetry   P321
M_tot   0.00 μB/cell

(5)
DFT (r²SCAN) results for crystalline TlGeF3 at its relaxed geometry.

Cell: 4.782 5.843 7.156 Å, 90.00 105.43 90.00°
Fractional coordinates of all 10 atoms:
Tl 0.839 0.250 0.193
Tl 0.161 0.750 0.807
Ge 0.565 0.250 0.642
Ge 0.435 0.750 0.358
F 0.680 0.027 0.831
F 0.320 0.527 0.169
F 0.807 0.750 0.329
F 0.193 0.250 0.671
F 0.320 0.973 0.169
F 0.680 0.473 0.831

Calculated values
ΔH_f (0 K)   -2134 meV per atom
Symmetry   P2_1/m
M_tot   0.00 μB/cell

(6)
DFT (r²SCAN) results for crystalline H3F2 at its relaxed geometry.

Cell: 4.992 4.019 8.152 Å, 121.02 69.10 128.68°
Fractional coordinates of all 10 atoms:
H 0.789 0.315 0.187
H 0.786 0.844 0.216
H 0.274 0.490 0.510
H 0.458 0.644 0.530
H 0.130 0.134 0.775
H 0.634 0.640 0.803
F 0.793 0.448 0.111
F 0.789 0.134 0.291
F 0.913 0.907 0.707
F 0.434 0.443 0.870

Calculated values
ΔH_f (0 K)   -1275 meV per atom
Symmetry   P1
M_tot   0.00 μB/cell